No. 1
{"formula": "MgNiPO5", "functional": "PBE+U", "state": "relaxed", "m_tot_mub_per_cell": 4.00, "rho_g_cm3": 3.8, "sg": "No. 9", "e_tot_ev_per_atom": -6.196, "cell": [[3.2602, -4.1361, 0.0000], [3.2602, 4.1361, 0.0000], [-2.6850, 0.0000, 6.2458]], "species": ["Mg", "Mg", "Ni", "Ni", "P", "P", "O", "O", "O", "O", "O", "O", "O", "O", "O", "O"], "fractional_positions": [[0.1715, 0.8285, 0.5000], [0.8285, 0.1715, 0.0000], [0.5059, 0.5089, 0.2608], [0.5089, 0.5059, 0.7608], [0.1733, 0.8424, 0.0117], [0.8424, 0.1733, 0.5117], [0.1321, 0.2266, 0.6727], [0.1661, 0.6283, 0.1330], [0.2266, 0.1321, 0.1727], [0.3963, 0.8490, 0.8966], [0.4154, 0.5980, 0.5147], [0.5980, 0.4154, 0.0147], [0.6283, 0.1661, 0.6330], [0.7917, 0.8909, 0.3523], [0.8490, 0.3963, 0.3966], [0.8909, 0.7917, 0.8523]]}



No. 2
{"formula": "MgNi2P2O8", "functional": "PBE+U", "state": "relaxed", "m_tot_mub_per_cell": 4.00, "rho_g_cm3": 3.8, "sg": "No. 12", "e_tot_ev_per_atom": -6.211, "cell": [[4.0886, -2.7404, 0.0000], [4.0886, 2.7404, 0.0000], [-0.3663, 0.0000, 6.5004]], "species": ["Mg", "Ni", "Ni", "P", "P", "O", "O", "O", "O", "O", "O", "O", "O"], "fractional_positions": [[0.0000, 0.0000, 0.0000], [0.5000, 0.5000, 0.0000], [0.5000, 0.5000, 0.5000], [0.1669, 0.1669, 0.7162], [0.8331, 0.8331, 0.2838], [0.1815, 0.7301, 0.2544], [0.2586, 0.2586, 0.5251], [0.2662, 0.2662, 0.9273], [0.2699, 0.8185, 0.7456], [0.7301, 0.1815, 0.2544], [0.7338, 0.7338, 0.0727], [0.7414, 0.7414, 0.4749], [0.8185, 0.2699, 0.7456]]}



No. 3
{"formula": "MgNiSbP2O9", "functional": "PBE+U", "state": "relaxed", "m_tot_mub_per_cell": 7.70, "rho_g_cm3": 3.9, "sg": "No. 62", "e_tot_ev_per_atom": -6.477, "cell": [[14.5670, 0.0000, 0.0000], [0.0000, 6.4908, 0.0000], [0.0000, 0.0000, 7.3141]], "species": ["Mg", "Mg", "Mg", "Mg", "Ni", "Ni", "Ni", "Ni", "Sb", "Sb", "Sb", "Sb", "P", "P", "P", "P", "P", "P", "P", "P", "O", "O", "O", "O", "O", "O", "O", "O", "O", "O", "O", "O", "O", "O", "O", "O", "O", "O", "O", "O", "O", "O", "O", "O", "O", "O", "O", "O", "O", "O", "O", "O", "O", "O", "O", "O"], "fractional_positions": [[0.1964, 0.2500, 0.0552], [0.3036, 0.7500, 0.5552], [0.6964, 0.2500, 0.4448], [0.8036, 0.7500, 0.9448], [0.0000, 0.0000, 0.0000], [0.0000, 0.5000, 0.0000], [0.5000, 0.0000, 0.5000], [0.5000, 0.5000, 0.5000], [0.1186, 0.2500, 0.6336], [0.3814, 0.7500, 0.1336], [0.6186, 0.2500, 0.8664], [0.8814, 0.7500, 0.3664], [0.0812, 0.7500, 0.6357], [0.1877, 0.7500, 0.1190], [0.3123, 0.2500, 0.6190], [0.4188, 0.2500, 0.1357], [0.5812, 0.7500, 0.8643], [0.6877, 0.7500, 0.3810], [0.8123, 0.2500, 0.8810], [0.9188, 0.2500, 0.3643], [0.0231, 0.7500, 0.4625], [0.0251, 0.7500, 0.8145], [0.0691, 0.2500, 0.8872], [0.1312, 0.5464, 0.1192], [0.1312, 0.9536, 0.1192], [0.1517, 0.5680, 0.6300], [0.1517, 0.9320, 0.6300], [0.2424, 0.2500, 0.4571], [0.2462, 0.2500, 0.7917], [0.2538, 0.7500, 0.2917], [0.2576, 0.7500, 0.9571], [0.3483, 0.0680, 0.1300], [0.3483, 0.4320, 0.1300], [0.3688, 0.0464, 0.6192], [0.3688, 0.4536, 0.6192], [0.4309, 0.7500, 0.3872], [0.4749, 0.2500, 0.3145], [0.4769, 0.2500, 0.9625], [0.5231, 0.7500, 0.0375], [0.5251, 0.7500, 0.6855], [0.5691, 0.2500, 0.6128], [0.6312, 0.5464, 0.3808], [0.6312, 0.9536, 0.3808], [0.6517, 0.5680, 0.8700], [0.6517, 0.9320, 0.8700], [0.7425, 0.2500, 0.0429], [0.7462, 0.2500, 0.7083], [0.7538, 0.7500, 0.2083], [0.7575, 0.7500, 0.5429], [0.8483, 0.0680, 0.3700], [0.8483, 0.4320, 0.3700], [0.8688, 0.0464, 0.8808], [0.8688, 0.4536, 0.8808], [0.9309, 0.7500, 0.1128], [0.9749, 0.2500, 0.1855], [0.9769, 0.2500, 0.5375]]}



No. 4
{"formula": "SrMgNiP2O8", "functional": "PBE+U", "state": "relaxed", "m_tot_mub_per_cell": 4.00, "rho_g_cm3": 3.8, "sg": "No. 2", "e_tot_ev_per_atom": -6.794, "cell": [[5.5070, 0.0000, 0.0000], [-0.9610, 6.8467, 0.0000], [-1.8033, -3.6353, 8.3655]], "species": ["Sr", "Sr", "Mg", "Mg", "Ni", "Ni", "P", "P", "P", "P", "O", "O", "O", "O", "O", "O", "O", "O", "O", "O", "O", "O", "O", "O", "O", "O"], "fractional_positions": [[0.2493, 0.1979, 0.4483], [0.7507, 0.8021, 0.5517], [0.4848, 0.3883, 0.1555], [0.5152, 0.6117, 0.8445], [0.1409, 0.8533, 0.0605], [0.8591, 0.1467, 0.9395], [0.1026, 0.5745, 0.2612], [0.3442, 0.0263, 0.8038], [0.6558, 0.9737, 0.1962], [0.8974, 0.4255, 0.7388], [0.1170, 0.4076, 0.0971], [0.1214, 0.9545, 0.8695], [0.1609, 0.4727, 0.7072], [0.1620, 0.8008, 0.2641], [0.2406, 0.0051, 0.6337], [0.3203, 0.5472, 0.3823], [0.4557, 0.1173, 0.1958], [0.4985, 0.7454, 0.0739], [0.5015, 0.2546, 0.9261], [0.5443, 0.8827, 0.8042], [0.6797, 0.4528, 0.6177], [0.7594, 0.9949, 0.3663], [0.8380, 0.1992, 0.7359], [0.8391, 0.5273, 0.2928], [0.8786, 0.0455, 0.1305], [0.8830, 0.5924, 0.9029]]}



No. 5
{"formula": "MgTiNiP2O9", "functional": "PBE+U", "state": "relaxed", "m_tot_mub_per_cell": 8.00, "rho_g_cm3": 3.4, "sg": "No. 62", "e_tot_ev_per_atom": -7.195, "cell": [[14.2258, 0.0000, 0.0000], [0.0000, 6.3082, 0.0000], [0.0000, 0.0000, 7.3331]], "species": ["Mg", "Mg", "Mg", "Mg", "Ti", "Ti", "Ti", "Ti", "Ni", "Ni", "Ni", "Ni", "P", "P", "P", "P", "P", "P", "P", "P", "O", "O", "O", "O", "O", "O", "O", "O", "O", "O", "O", "O", "O", "O", "O", "O", "O", "O", "O", "O", "O", "O", "O", "O", "O", "O", "O", "O", "O", "O", "O", "O", "O", "O", "O", "O"], "fractional_positions": [[0.2221, 0.2500, 0.1112], [0.2779, 0.7500, 0.6112], [0.7221, 0.2500, 0.3888], [0.7779, 0.7500, 0.8888], [0.1163, 0.2500, 0.6527], [0.3837, 0.7500, 0.1527], [0.6163, 0.2500, 0.8473], [0.8837, 0.7500, 0.3473], [0.0000, 0.0000, 0.0000], [0.0000, 0.5000, 0.0000], [0.5000, 0.0000, 0.5000], [0.5000, 0.5000, 0.5000], [0.0698, 0.7500, 0.6446], [0.1957, 0.7500, 0.1093], [0.3043, 0.2500, 0.6093], [0.4302, 0.2500, 0.1446], [0.5698, 0.7500, 0.8554], [0.6957, 0.7500, 0.3907], [0.8043, 0.2500, 0.8907], [0.9302, 0.2500, 0.3554], [0.0072, 0.2500, 0.4999], [0.0235, 0.7500, 0.8325], [0.0538, 0.2500, 0.8572], [0.1393, 0.5385, 0.1094], [0.1390, 0.5615, 0.6221], [0.1390, 0.9385, 0.6221], [0.1393, 0.9615, 0.1094], [0.2313, 0.2500, 0.4500], [0.2407, 0.2500, 0.7874], [0.2593, 0.7500, 0.2874], [0.2687, 0.7500, 0.9500], [0.3607, 0.0385, 0.6094], [0.3610, 0.0615, 0.1221], [0.3610, 0.4385, 0.1221], [0.3607, 0.4615, 0.6094], [0.4462, 0.7500, 0.3572], [0.4765, 0.2500, 0.3325], [0.4928, 0.7500, 0.9999], [0.5072, 0.2500, 0.0001], [0.5235, 0.7500, 0.6675], [0.5538, 0.2500, 0.6428], [0.6393, 0.5385, 0.3906], [0.6390, 0.5615, 0.8779], [0.6390, 0.9385, 0.8779], [0.6393, 0.9615, 0.3906], [0.7313, 0.2500, 0.0500], [0.7407, 0.2500, 0.7126], [0.7593, 0.7500, 0.2126], [0.7687, 0.7500, 0.5500], [0.8607, 0.0385, 0.8906], [0.8610, 0.0615, 0.3779], [0.8610, 0.4385, 0.3779], [0.8607, 0.4615, 0.8906], [0.9462, 0.7500, 0.1428], [0.9765, 0.2500, 0.1675], [0.9928, 0.7500, 0.5001]]}



No. 6
{"formula": "MgVNiP2O9", "functional": "PBE+U", "state": "relaxed", "m_tot_mub_per_cell": 12.00, "rho_g_cm3": 3.5, "sg": "No. 62", "e_tot_ev_per_atom": -6.947, "cell": [[14.1695, 0.0000, 0.0000], [0.0000, 6.2923, 0.0000], [0.0000, 0.0000, 7.3066]], "species": ["Mg", "Mg", "Mg", "Mg", "V", "V", "V", "V", "Ni", "Ni", "Ni", "Ni", "P", "P", "P", "P", "P", "P", "P", "P", "O", "O", "O", "O", "O", "O", "O", "O", "O", "O", "O", "O", "O", "O", "O", "O", "O", "O", "O", "O", "O", "O", "O", "O", "O", "O", "O", "O", "O", "O", "O", "O", "O", "O", "O", "O"], "fractional_positions": [[0.2242, 0.2500, 0.1106], [0.2758, 0.7500, 0.6106], [0.7242, 0.2500, 0.3894], [0.7758, 0.7500, 0.8894], [0.1180, 0.2500, 0.6534], [0.3820, 0.7500, 0.1534], [0.6180, 0.2500, 0.8466], [0.8820, 0.7500, 0.3466], [0.0000, 0.0000, 0.0000], [0.0000, 0.5000, 0.0000], [0.5000, 0.0000, 0.5000], [0.5000, 0.5000, 0.5000], [0.0680, 0.7500, 0.6454], [0.1952, 0.7500, 0.1166], [0.3048, 0.2500, 0.6166], [0.4320, 0.2500, 0.1454], [0.5680, 0.7500, 0.8546], [0.6952, 0.7500, 0.3834], [0.8048, 0.2500, 0.8834], [0.9320, 0.2500, 0.3546], [0.0091, 0.2500, 0.4971], [0.0213, 0.7500, 0.8329], [0.0563, 0.2500, 0.8553], [0.1389, 0.5392, 0.1090], [0.1388, 0.5627, 0.6261], [0.1388, 0.9373, 0.6261], [0.1389, 0.9608, 0.1090], [0.2288, 0.2500, 0.4583], [0.2428, 0.2500, 0.7956], [0.2572, 0.7500, 0.2956], [0.2712, 0.7500, 0.9583], [0.3611, 0.0392, 0.6090], [0.3612, 0.0627, 0.1261], [0.3612, 0.4373, 0.1261], [0.3611, 0.4608, 0.6090], [0.4437, 0.7500, 0.3553], [0.4787, 0.2500, 0.3329], [0.4909, 0.7500, 0.9971], [0.5091, 0.2500, 0.0029], [0.5213, 0.7500, 0.6671], [0.5563, 0.2500, 0.6447], [0.6389, 0.5392, 0.3910], [0.6388, 0.5627, 0.8739], [0.6388, 0.9373, 0.8739], [0.6389, 0.9608, 0.3910], [0.7288, 0.2500, 0.0417], [0.7428, 0.2500, 0.7044], [0.7572, 0.7500, 0.2044], [0.7712, 0.7500, 0.5417], [0.8611, 0.0392, 0.8910], [0.8612, 0.0627, 0.3739], [0.8612, 0.4373, 0.3739], [0.8611, 0.4608, 0.8910], [0.9437, 0.7500, 0.1447], [0.9787, 0.2500, 0.1671], [0.9909, 0.7500, 0.5029]]}



No. 7
{"formula": "PrMgNi4O12", "functional": "PBE+U", "state": "relaxed", "m_tot_mub_per_cell": 3.00, "rho_g_cm3": 4.8, "sg": "No. 38", "e_tot_ev_per_atom": -4.968, "cell": [[7.7178, 0.0000, 0.0000], [0.0000, 3.5476, 3.7315], [0.0000, -3.5476, 3.7315]], "species": ["Pr", "Mg", "Ni", "Ni", "Ni", "Ni", "O", "O", "O", "O", "O", "O", "O", "O", "O", "O", "O", "O"], "fractional_positions": [[0.0000, 0.0000, 0.0000], [0.5000, 0.4490, 0.4490], [0.2624, 0.4686, 0.9629], [0.2624, 0.9629, 0.4686], [0.7376, 0.4686, 0.9629], [0.7376, 0.9629, 0.4686], [0.0000, 0.5149, 0.9046], [0.0000, 0.9046, 0.5149], [0.1942, 0.2731, 0.2731], [0.2626, 0.1503, 0.7813], [0.2626, 0.7813, 0.1503], [0.3249, 0.6459, 0.6459], [0.5000, 0.0641, 0.4157], [0.5000, 0.4157, 0.0641], [0.6751, 0.6459, 0.6459], [0.7374, 0.1503, 0.7813], [0.7374, 0.7813, 0.1503], [0.8058, 0.2731, 0.2731]]}



No. 8
{"formula": "MgRe2NiO8", "functional": "PBE+U", "state": "relaxed", "m_tot_mub_per_cell": 0.00, "rho_g_cm3": 5.3, "sg": "No. 143", "e_tot_ev_per_atom": -7.116, "cell": [[5.4125, 0.0000, 0.0000], [-2.7062, 4.6874, 0.0000], [0.0000, 0.0000, 7.2184]], "species": ["Mg", "Re", "Re", "Ni", "O", "O", "O", "O", "O", "O", "O", "O"], "fractional_positions": [[0.0000, 0.0000, 0.0000], [0.0000, 0.0000, 0.5206], [0.6667, 0.3333, 0.0389], [0.3333, 0.6667, 0.7868], [0.0000, 0.0000, 0.2731], [0.0590, 0.7327, 0.6134], [0.2673, 0.3263, 0.6134], [0.3616, 0.0044, 0.9425], [0.6428, 0.6384, 0.9425], [0.6667, 0.3333, 0.2777], [0.6737, 0.9410, 0.6134], [0.9956, 0.3572, 0.9425]]}



No. 9
{"formula": "MgRe2NiO8", "functional": "PBE+U", "state": "relaxed", "m_tot_mub_per_cell": 0.00, "rho_g_cm3": 6.0, "sg": "No. 147", "e_tot_ev_per_atom": -7.097, "cell": [[5.8207, 0.0000, 0.0000], [-2.9103, 5.0409, 0.0000], [0.0000, 0.0000, 5.5352]], "species": ["Mg", "Re", "Re", "Ni", "O", "O", "O", "O", "O", "O", "O", "O"], "fractional_positions": [[0.0000, 0.0000, 0.0000], [0.3333, 0.6667, 0.8278], [0.6667, 0.3333, 0.1722], [0.0000, 0.0000, 0.5000], [0.1566, 0.3182, 0.7488], [0.1616, 0.8434, 0.7488], [0.3182, 0.1616, 0.2512], [0.3333, 0.6667, 0.1408], [0.6667, 0.3333, 0.8592], [0.6818, 0.8384, 0.7488], [0.8384, 0.1566, 0.2512], [0.8434, 0.6818, 0.2512]]}



No. 10
{"formula": "Sr4MgRe2NiO12", "functional": "PBE+U", "state": "relaxed", "m_tot_mub_per_cell": 4.00, "rho_g_cm3": 6.3, "sg": "No. 166", "e_tot_ev_per_atom": -6.942, "cell": [[2.8332, 1.6357, 9.4984], [-2.8332, 1.6357, 9.4984], [0.0000, -3.2715, 9.4984]], "species": ["Sr", "Sr", "Sr", "Sr", "Mg", "Re", "Re", "Ni", "O", "O", "O", "O", "O", "O", "O", "O", "O", "O", "O", "O"], "fractional_positions": [[0.1323, 0.1323, 0.1323], [0.2822, 0.2822, 0.2822], [0.7178, 0.7178, 0.7178], [0.8677, 0.8677, 0.8677], [0.5000, 0.5000, 0.5000], [0.4089, 0.4089, 0.4089], [0.5911, 0.5911, 0.5911], [0.0000, 0.0000, 0.0000], [0.1360, 0.6121, 0.6121], [0.2109, 0.2109, 0.7004], [0.2109, 0.7004, 0.2109], [0.2996, 0.7891, 0.7891], [0.3879, 0.3879, 0.8640], [0.3879, 0.8640, 0.3879], [0.6121, 0.1360, 0.6121], [0.6121, 0.6121, 0.1360], [0.7004, 0.2109, 0.2109], [0.7891, 0.2996, 0.7891], [0.7891, 0.7891, 0.2996], [0.8640, 0.3879, 0.3879]]}



No. 11
{"formula": "Mg2NiSbO6", "functional": "PBE+U", "state": "relaxed", "m_tot_mub_per_cell": 2.01, "rho_g_cm3": 5.2, "sg": "No. 11", "e_tot_ev_per_atom": -5.679, "cell": [[5.2276, 0.0000, 0.0000], [0.0000, 7.4988, 0.0000], [-0.3302, 0.0000, 5.3107]], "species": ["Mg", "Mg", "Mg", "Mg", "Ni", "Ni", "Sb", "Sb", "O", "O", "O", "O", "O", "O", "O", "O", "O", "O", "O", "O"], "fractional_positions": [[0.0164, 0.2500, 0.0339], [0.4752, 0.7500, 0.4277], [0.5248, 0.2500, 0.5723], [0.9836, 0.7500, 0.9661], [0.5000, 0.0000, 0.0000], [0.5000, 0.5000, 0.0000], [0.0000, 0.0000, 0.5000], [0.0000, 0.5000, 0.5000], [0.1366, 0.2500, 0.4218], [0.1684, 0.5706, 0.1957], [0.1684, 0.9294, 0.1957], [0.3284, 0.5661, 0.6831], [0.3284, 0.9339, 0.6831], [0.3811, 0.2500, 0.9251], [0.6189, 0.7500, 0.0749], [0.6716, 0.0661, 0.3169], [0.6716, 0.4339, 0.3169], [0.8316, 0.0706, 0.8043], [0.8316, 0.4294, 0.8043], [0.8634, 0.7500, 0.5782]]}



No. 12
{"formula": "MgScNi2SbO6", "functional": "PBE+U", "state": "relaxed", "m_tot_mub_per_cell": 4.00, "rho_g_cm3": 5.3, "sg": "No. 1", "e_tot_ev_per_atom": -6.076, "cell": [[5.3550, 0.0000, 0.0000], [-2.6750, 4.6394, 0.0000], [-0.0014, -3.0863, 5.1351]], "species": ["Mg", "Sc", "Ni", "Ni", "Sb", "O", "O", "O", "O", "O", "O"], "fractional_positions": [[0.0000, 0.0000, 0.0000], [0.8248, 0.6502, 0.4752], [0.1710, 0.3415, 0.5121], [0.6356, 0.2714, 0.9076], [0.3572, 0.7147, 0.0725], [0.0185, 0.4303, 0.2341], [0.2255, 0.1648, 0.7512], [0.4112, 0.2155, 0.2348], [0.5862, 0.8120, 0.7517], [0.8038, 0.8249, 0.2355], [0.9395, 0.5262, 0.7519]]}



No. 13
{"formula": "MgScNi2SbO6", "functional": "PBE+U", "state": "relaxed", "m_tot_mub_per_cell": 4.00, "rho_g_cm3": 4.7, "sg": "No. 1", "e_tot_ev_per_atom": -6.039, "cell": [[5.5189, 0.0000, 0.0000], [2.6151, 5.0672, 0.0000], [2.6015, 1.5993, 5.1529]], "species": ["Mg", "Sc", "Ni", "Ni", "Sb", "O", "O", "O", "O", "O", "O"], "fractional_positions": [[0.0000, 0.0000, 0.0000], [0.9093, 0.3288, 0.4924], [0.2665, 0.4306, 0.7677], [0.6254, 0.9245, 0.5010], [0.6204, 0.7181, 0.0512], [0.0122, 0.6133, 0.0985], [0.2475, 0.1424, 0.6557], [0.5191, 0.6423, 0.4826], [0.6519, 0.1186, 0.8794], [0.8746, 0.6086, 0.7132], [0.8765, 0.1479, 0.2851]]}



| no. | energy of formation (meV per atom) |
| --- | --- |
| 1 | -2252 |
| 2 | -2134 |
| 3 | -2324 |
| 4 | -2837 |
| 5 | -2773 |
| 6 | -2561 |
| 7 | -1053 |
| 8 | -1798 |
| 9 | -1779 |
| 10 | -2561 |
| 11 | -2066 |
| 12 | -2066 |
| 13 | -2029 |